[1]
Crystalline CoP2O7 at its relaxed geometry. Source: Materials Project, functional PBE+U.

## Properties
As for the formation energy: -2.084 eV/atom.

```
data_CoP2O7
_chemical_formula_sum 'Co4 P8 O28'
_symmetry_space_group_name_H-M 'P 1 21/c 1'
_symmetry_Int_Tables_number 14
_cell_length_a 7.090
_cell_length_b 7.858
_cell_length_c 9.096
_cell_angle_alpha 90.00
_cell_angle_beta 110.21
_cell_angle_gamma 90.00
loop_
_symmetry_equiv_pos_as_xyz
'x,y,z'
'-x,-y,-z'
'-x,y+1/2,-z+1/2'
'x,-y+1/2,z+1/2'
loop_
_atom_site_label
_atom_site_fract_x
_atom_site_fract_y
_atom_site_fract_z
Co1 0.232 0.007 0.253
P1 0.172 0.699 0.444
P2 0.425 0.237 0.557
O1 0.035 0.578 0.321
O2 0.149 0.610 0.906
O3 0.172 0.681 0.613
O4 0.275 0.148 0.097
O5 0.318 0.194 0.383
O6 0.388 0.644 0.437
O7 0.498 0.583 0.833
```

=====

[2]
Crystalline Mn2CuO4 at its relaxed geometry. Source: Materials Project, functional PBE+U.

## Properties
As for the formation energy: -1.658 eV/atom.

```
data_Mn2CuO4
_chemical_formula_sum 'Mn4 Cu2 O8'
_symmetry_space_group_name_H-M 'P -1'
_symmetry_Int_Tables_number 2
_cell_length_a 5.936
_cell_length_b 5.951
_cell_length_c 5.955
_cell_angle_alpha 60.43
_cell_angle_beta 60.69
_cell_angle_gamma 61.19
loop_
_symmetry_equiv_pos_as_xyz
'x,y,z'
'-x,-y,-z'
loop_
_atom_site_label
_atom_site_fract_x
_atom_site_fract_y
_atom_site_fract_z
Mn1 0.000 0.000 0.000
Mn2 0.000 0.000 0.500
Mn3 0.000 0.500 0.000
Mn4 0.500 0.000 0.000
Cu1 0.376 0.376 0.375
O1 0.211 0.764 0.761
O2 0.236 0.234 0.788
O3 0.237 0.788 0.239
O4 0.241 0.241 0.240
```

=====

[3]
Crystalline Fe21O23 at its relaxed geometry. Source: Materials Project, functional PBE+U.

## Properties
As for the formation energy: -1.480 eV/atom.

```
data_Fe21O23
_chemical_formula_sum 'Fe21 O23'
_symmetry_space_group_name_H-M 'P 1'
_symmetry_Int_Tables_number 1
_cell_length_a 6.898
_cell_length_b 8.118
_cell_length_c 9.754
_cell_angle_alpha 83.09
_cell_angle_beta 73.56
_cell_angle_gamma 64.98
loop_
_symmetry_equiv_pos_as_xyz
'x,y,z'
loop_
_atom_site_label
_atom_site_fract_x
_atom_site_fract_y
_atom_site_fract_z
Fe1 0.000 0.000 0.000
Fe2 0.020 0.436 0.355
Fe3 0.083 0.873 0.711
Fe4 0.117 0.303 0.048
Fe5 0.172 0.730 0.402
Fe6 0.266 0.602 0.105
Fe7 0.299 0.046 0.455
Fe8 0.337 0.470 0.791
Fe9 0.391 0.903 0.147
Fe10 0.427 0.349 0.489
Fe11 0.467 0.791 0.832
Fe12 0.522 0.219 0.186
Fe13 0.560 0.645 0.528
Fe14 0.586 0.090 0.881
Fe15 0.679 0.957 0.580
Fe16 0.736 0.391 0.927
Fe17 0.775 0.819 0.272
Fe18 0.825 0.259 0.625
Fe19 0.851 0.695 0.977
Fe20 0.899 0.139 0.312
Fe21 0.958 0.556 0.667
O1 0.031 0.439 0.876
O2 0.082 0.852 0.202
O3 0.115 0.301 0.543
O4 0.177 0.730 0.906
O5 0.212 0.168 0.251
O6 0.251 0.607 0.599
O7 0.299 0.047 0.963
O8 0.329 0.476 0.292
O9 0.380 0.908 0.633
O10 0.407 0.357 0.998
O11 0.456 0.808 0.350
O12 0.540 0.222 0.680
O13 0.540 0.652 0.024
O14 0.585 0.088 0.386
O15 0.655 0.513 0.722
O16 0.687 0.963 0.078
O17 0.735 0.374 0.445
O18 0.781 0.821 0.772
O19 0.845 0.246 0.116
O20 0.859 0.701 0.471
O21 0.879 0.137 0.817
O22 0.981 0.556 0.155
O23 0.999 0.007 0.510
```